No. 1
Entry from Materials Project: SrCuSi after structural relaxation (r²SCAN).

The structure in POSCAR format:
```
SrCuSi
1.0
4.089 0.000 0.000
-2.044 3.541 0.000
0.000 0.000 9.365
Sr Cu Si
2 2 2
direct
0.000 0.000 0.000
0.000 0.000 0.500
0.333 0.667 0.250
0.667 0.333 0.750
0.333 0.667 0.750
0.667 0.333 0.250
```

Summary:
- ΔE_f (eV/atom) = -0.366
- SG = P6_3/mmc, No. 194



No. 2
Entry from Materials Project: TbCu2Si2 after structural relaxation (r²SCAN).

The structure in POSCAR format:
```
TbCu2Si2
1.0
-1.989 1.989 4.930
1.989 -1.989 4.930
1.989 1.989 -4.930
Tb Cu Si
1 2 2
direct
0.000 0.000 0.000
0.250 0.750 0.500
0.750 0.250 0.500
0.381 0.381 0.000
0.619 0.619 0.000
```

Summary:
- ΔE_f (eV/atom) = -0.641
- SG = I4/mmm, No. 139



No. 3
Entry from Materials Project: Cu2SiTe3 after structural relaxation (r²SCAN).

The structure in POSCAR format:
```
Cu2SiTe3
1.0
3.614 -6.290 0.000
3.614 6.290 0.000
-2.362 0.000 6.850
Cu Si Te
4 2 6
direct
0.086 0.914 0.500
0.262 0.761 0.002
0.761 0.262 0.502
0.914 0.086 0.000
0.437 0.605 0.518
0.605 0.437 0.018
0.138 0.631 0.630
0.295 0.466 0.133
0.466 0.295 0.633
0.631 0.138 0.130
0.806 0.973 0.626
0.973 0.806 0.126
```

Summary:
- ΔE_f (eV/atom) = -0.110
- SG = Cc, No. 9



No. 4
Entry from Materials Project: Cu2SiTe3 after structural relaxation (r²SCAN).

The structure in POSCAR format:
```
Cu2SiTe3
1.0
-2.115 6.256 2.947
2.115 -6.256 2.947
2.115 6.256 -2.947
Cu Si Te
2 1 3
direct
0.167 0.000 0.167
0.833 0.000 0.833
0.473 0.973 0.500
0.071 0.740 0.331
0.409 0.740 0.669
0.745 0.745 0.000
```

Summary:
- ΔE_f (eV/atom) = -0.107
- SG = Imm2, No. 44